(1)
Material: Hg3Bi2S2Cl8
Method: DFT, GGA-PBE
State: relaxed

Cell lengths 7.6487, 7.6487, 9.5249 Å; angles 67.21, 67.21, 59.37 degrees
Element x y z (fractional)
Hg (0.0000, 0.5000, 0.0000)
Hg (0.5000, 0.0000, 0.0000)
Hg (0.5000, 0.5000, 0.0000)
Bi (0.1267, 0.1267, 0.5739)
Bi (0.8733, 0.8733, 0.4261)
S (0.6248, 0.6248, 0.1248)
S (0.3752, 0.3752, 0.8752)
Cl (0.2395, 0.7605, 0.5000)
Cl (0.7605, 0.2395, 0.5000)
Cl (0.9275, 0.4594, 0.7104)
Cl (0.4594, 0.9275, 0.7104)
Cl (0.0725, 0.5406, 0.2896)
Cl (0.5406, 0.0725, 0.2896)
Cl (0.9511, 0.9511, 0.8500)
Cl (0.0489, 0.0489, 0.1500)

Values from the calculation:
Symmetry   No. 12



(2)
Material: Hg4BiS2Cl5
Method: DFT, GGA-PBE
State: relaxed

Cell lengths 8.2903, 10.6901, 9.0309 Å; angles 90.00, 113.19, 90.00 degrees
Element x y z (fractional)
Hg (0.9243, 0.1825, 0.3289)
Hg (0.0757, 0.6825, 0.6711)
Hg (0.9490, 0.6681, 0.3554)
Hg (0.0510, 0.1681, 0.6446)
Hg (0.4974, 0.1806, 0.9848)
Hg (0.5026, 0.6806, 0.0152)
Hg (0.8051, 0.4321, 0.0199)
Hg (0.1949, 0.9321, 0.9801)
Bi (0.5030, 0.4311, 0.5098)
Bi (0.4970, 0.9311, 0.4902)
S (0.8026, 0.2043, 0.0291)
S (0.1974, 0.7043, 0.9709)
S (0.1940, 0.1575, 0.9445)
S (0.8060, 0.6575, 0.0555)
Cl (0.8378, 0.9236, 0.6899)
Cl (0.1622, 0.4236, 0.3101)
Cl (0.8559, 0.4368, 0.7128)
Cl (0.1441, 0.9368, 0.2872)
Cl (0.4026, 0.4539, 0.7690)
Cl (0.5974, 0.9539, 0.2310)
Cl (0.5932, 0.3980, 0.2600)
Cl (0.4068, 0.8980, 0.7400)
Cl (0.4990, 0.1852, 0.5679)
Cl (0.5010, 0.6852, 0.4321)

Values from the calculation:
Symmetry   No. 4



Number 1: formation energy from the elements -1.10 eV per atom. Number 2: formation energy from the elements -0.92 eV per atom.